Entry 1:
Material: Ba2ZnCuNi2F14
Method: DFT, PBE+U
State: relaxed

a b c (Å): 5.327 7.401 14.478
angles (deg): 89.85 89.75 69.51
Fractional positions:
Cu: 0.510 0.000 0.001
F: 0.186 0.520 0.578
Ni: 0.895 0.219 0.373
F: 0.377 0.659 0.719
F: 0.121 0.153 0.489
F: 0.867 0.849 0.517
F: 0.406 0.771 0.543
F: 0.295 0.846 0.017
F: 0.176 0.237 0.286
Ba: 0.159 0.607 0.879
F: 0.584 0.242 0.788
F: 0.063 0.321 0.771
Cu: 0.491 0.999 0.503
Zn: 0.397 0.047 0.760
F: 0.964 0.658 0.219
F: 0.802 0.488 0.419
Zn: 0.550 0.038 0.258
F: 0.125 0.969 0.835
F: 0.576 0.223 0.462
F: 0.185 0.234 0.960
F: 0.720 0.152 0.986
F: 0.704 0.491 0.919
Ni: 0.130 0.768 0.129
F: 0.073 0.018 0.659
F: 0.409 0.097 0.124
Ni: 0.103 0.770 0.628
Ba: 0.235 0.605 0.377
F: 0.505 0.097 0.628
Ba: 0.858 0.387 0.119
F: 0.618 0.316 0.272
F: 0.841 0.746 0.707
F: 0.410 0.758 0.209
Ni: 0.883 0.227 0.874
Ba: 0.757 0.387 0.619
F: 0.463 0.906 0.380
F: 0.619 0.904 0.879
F: 0.843 0.761 0.043
F: 0.307 0.517 0.082
F: 0.897 0.964 0.333
F: 0.918 0.018 0.156

Calculated values
**Space group**: No. 1
**ΔE_f**: -2.585 eV/atom
**E**: -4.39 eV/atom
**Total moment**: 0.69 μB per formula unit

Entry 2:
Material: Ca2Nb2CrO8
Method: DFT, PBE+U
State: relaxed

a b c (Å): 5.495 6.465 10.024
angles (deg): 106.17 91.65 91.56
Fractional positions:
O: 0.587 0.213 0.145
Nb: 0.745 0.974 0.228
O: 0.159 0.161 0.630
Ca: 0.756 0.116 0.578
O: 0.493 0.125 0.367
Cr: 0.757 0.350 0.999
O: 0.073 0.973 0.146
O: 0.001 0.748 0.631
O: 0.657 0.461 0.629
Cr: 0.243 0.650 0.001
Nb: 0.255 0.026 0.772
Nb: 0.251 0.271 0.226
Ca: 0.744 0.534 0.418
O: 0.507 0.875 0.633
O: 0.088 0.415 0.109
O: 0.927 0.027 0.854
Nb: 0.749 0.729 0.774
Ca: 0.244 0.884 0.422
O: 0.565 0.734 0.119
O: 0.999 0.252 0.369
O: 0.841 0.839 0.370
Ca: 0.256 0.466 0.582
O: 0.435 0.266 0.881
O: 0.912 0.585 0.891
O: 0.343 0.539 0.371
O: 0.413 0.787 0.855

Calculated values
**Space group**: No. 2
**ΔE_f**: -3.008 eV/atom
**E**: -8.08 eV/atom
**Total moment**: 4.00 μB per formula unit

Entry 3:
Material: LiMn8O16
Method: DFT, PBE+U
State: relaxed

a b c (Å): 5.901 9.879 13.970
angles (deg): 45.60 90.00 90.00
Fractional positions:
O: 0.126 0.955 0.201
O: 0.624 0.386 0.157
Mn: 0.625 0.524 0.644
Mn: 0.876 0.188 0.661
Mn: 0.875 0.522 0.146
Mn: 0.124 0.823 0.830
O: 0.875 0.718 0.953
O: 0.125 0.386 0.157
O: 0.624 0.646 0.152
O: 0.125 0.622 0.836
Mn: 0.124 0.486 0.346
O: 0.625 0.622 0.836
Mn: 0.876 0.823 0.330
O: 0.626 0.356 0.839
O: 0.624 0.956 0.199
O: 0.625 0.719 0.453
O: 0.125 0.062 0.788
O: 0.375 0.060 0.293
O: 0.376 0.956 0.699
O: 0.625 0.060 0.793
O: 0.376 0.386 0.657
O: 0.375 0.622 0.336
O: 0.874 0.955 0.701
Mn: 0.626 0.188 0.161
Mn: 0.626 0.821 0.831
Mn: 0.374 0.188 0.661
O: 0.125 0.644 0.153
O: 0.875 0.363 0.338
O: 0.376 0.646 0.652
O: 0.125 0.363 0.838
Mn: 0.375 0.524 0.144
Li: 0.375 0.089 0.422
O: 0.375 0.719 0.953
O: 0.125 0.290 0.539
Mn: 0.125 0.522 0.646
Mn: 0.374 0.821 0.331
Mn: 0.876 0.486 0.846
Mn: 0.374 0.485 0.847
O: 0.875 0.644 0.653
Mn: 0.626 0.485 0.347
O: 0.875 0.290 0.039
O: 0.875 0.622 0.336
O: 0.125 0.718 0.453
Mn: 0.124 0.188 0.161
O: 0.875 0.386 0.657
O: 0.625 0.290 0.539
O: 0.375 0.290 0.039
O: 0.374 0.356 0.339
Li: 0.625 0.089 0.922
O: 0.875 0.062 0.288

Calculated values
**Space group**: No. 7
**ΔE_f**: -1.867 eV/atom
**Energy above the lowest structure with this stoichiometry**: 0 meV per atom
**E**: -7.07 eV/atom
**Total moment**: 25.00 μB per formula unit

Entry 4:
Material: La12Mn11O36
Method: DFT, PBE+U
State: relaxed

a b c (Å): 11.284 7.966 23.591
angles (deg): 90.00 90.00 44.43
Fractional positions:
O: 0.301 0.921 0.249
Mn: 0.254 0.499 0.835
La: 0.969 0.488 0.244
Mn: 0.754 0.996 0.833
O: 0.018 0.187 0.180
O: 0.720 0.275 0.848
Mn: 0.754 0.499 0.998
O: 0.221 0.584 0.248
Mn: 0.246 0.000 0.500
O: 0.204 0.288 0.180
La: 0.981 0.008 0.915
O: 0.789 0.720 0.818
O: 0.721 0.579 0.917
La: 0.990 0.491 0.916
O: 0.289 0.720 0.015
La: 0.531 0.512 0.089
O: 0.284 0.432 0.758
La: 0.490 0.491 0.918
O: 0.716 0.568 0.258
O: 0.792 0.921 0.250
O: 0.280 0.725 0.348
O: 0.801 0.921 0.584
O: 0.001 0.205 0.654
O: 0.225 0.277 0.849
La: 0.010 0.509 0.416
O: 0.221 0.579 0.917
O: 0.279 0.421 0.417
O: 0.482 0.813 0.153
Mn: 0.250 0.000 0.667
O: 0.704 0.288 0.654
O: 0.708 0.079 0.084
O: 0.296 0.712 0.154
La: 0.019 0.992 0.415
Mn: 0.746 0.004 0.500
La: 0.011 0.507 0.085
O: 0.002 0.777 0.347
O: 0.796 0.712 0.680
O: 0.493 0.222 0.319
O: 0.721 0.584 0.585
Mn: 0.250 0.500 0.167
La: 0.515 0.010 0.748
Mn: 0.246 0.501 0.498
O: 0.507 0.778 0.819
La: 0.031 0.512 0.744
O: 0.785 0.720 0.012
Mn: 0.754 0.000 0.000
O: 0.503 0.218 0.850
O: 0.007 0.778 0.015
O: 0.211 0.270 0.653
Mn: 0.747 0.500 0.502
Mn: 0.253 0.500 0.002
O: 0.497 0.782 0.350
Mn: 0.247 0.500 0.331
O: 0.289 0.730 0.680
O: 0.699 0.079 0.749
La: 0.511 0.507 0.748
O: 0.775 0.723 0.349
Mn: 0.750 0.500 0.667
O: 0.789 0.730 0.153
O: 0.208 0.079 0.750
O: 0.784 0.432 0.076
O: 0.216 0.568 0.576
O: 0.711 0.270 0.180
O: 0.299 0.923 0.916
O: 0.725 0.277 0.985
Mn: 0.746 0.000 0.333
La: 0.989 0.493 0.585
La: 0.015 0.010 0.086
La: 0.485 0.990 0.248
O: 0.501 0.205 0.179
La: 0.466 0.024 0.587
O: 0.275 0.723 0.485
La: 0.510 0.509 0.418
Mn: 0.246 0.004 0.333
O: 0.982 0.813 0.680
O: 0.499 0.795 0.679
Mn: 0.746 0.501 0.335
O: 0.711 0.280 0.515
O: 0.779 0.416 0.748
O: 0.502 0.777 0.486
O: 0.998 0.223 0.847
O: 0.997 0.782 0.484
Mn: 0.750 0.000 0.667
La: 0.519 0.992 0.418
La: 0.034 0.976 0.746
Mn: 0.254 0.996 0.000
Mn: 0.750 0.000 0.167
La: 0.481 0.008 0.918
La: 0.469 0.488 0.589
O: 0.199 0.079 0.084
O: 0.292 0.921 0.584
O: 0.211 0.280 0.318
O: 0.996 0.217 0.320
O: 0.220 0.275 0.986
O: 0.003 0.218 0.984
O: 0.999 0.795 0.154
Mn: 0.753 0.500 0.831
La: 0.534 0.976 0.087
O: 0.780 0.725 0.486
Mn: 0.250 0.000 0.167
O: 0.993 0.222 0.515
Mn: 0.254 0.000 0.833
O: 0.201 0.077 0.417
O: 0.504 0.783 0.013
O: 0.279 0.416 0.085
La: 0.489 0.493 0.248
O: 0.498 0.223 0.986
O: 0.779 0.421 0.417
La: 0.966 0.024 0.246
O: 0.799 0.923 0.917
O: 0.715 0.280 0.321
O: 0.496 0.217 0.513
O: 0.004 0.783 0.820
O: 0.518 0.187 0.653
O: 0.701 0.077 0.416
La: 0.985 0.990 0.586
O: 0.285 0.720 0.821
O: 0.215 0.280 0.512

Calculated values
**Space group**: No. 14
**ΔE_f**: -2.993 eV/atom
**E**: -7.99 eV/atom
**Total moment**: 41.00 μB per formula unit

Entry 5:
Material: Li2CoSiO4
Method: DFT, PBE+U
State: relaxed

a b c (Å): 7.360 8.239 7.639
angles (deg): 62.38 90.00 116.53
Fractional positions:
O: 0.288 0.501 0.079
Li: 0.875 0.750 0.938
O: 0.962 0.999 0.330
O: 0.287 0.499 0.421
Li: 0.681 0.000 0.000
Si: 0.426 0.500 0.250
O: 0.963 0.001 0.671
Si: 0.824 0.000 0.500
Li: 0.125 0.250 0.062
Co: 0.875 0.750 0.304
O: 0.945 0.284 0.859
Si: 0.324 0.000 0.000
Co: 0.625 0.250 0.196
O: 0.661 0.716 0.140
Li: 0.181 0.000 0.500
O: 0.463 0.001 0.170
Co: 0.125 0.250 0.696
O: 0.161 0.716 0.641
O: 0.805 0.216 0.394
O: 0.462 0.999 0.829
O: 0.445 0.284 0.360
O: 0.788 0.501 0.579
O: 0.787 0.499 0.921
Co: 0.375 0.750 0.804
O: 0.089 0.784 0.106
Li: 0.625 0.250 0.562
Li: 0.069 0.500 0.250
O: 0.589 0.784 0.607
Si: 0.926 0.500 0.750
O: 0.305 0.216 0.893
Li: 0.569 0.500 0.750
Li: 0.375 0.750 0.438

Calculated values
**ΔE_f**: -2.505 eV/atom
**Energy above the lowest structure with this stoichiometry**: 10 meV per atom
**E**: -6.47 eV/atom
**Total moment**: 0.00 μB per formula unit

Entry 6:
Material: Li6Ca3MnC6O18F2
Method: DFT, PBE+U
State: relaxed

a b c (Å): 6.718 7.733 8.661
angles (deg): 64.14 84.70 78.12
Fractional positions:
O: 0.034 0.508 0.012
C: 0.309 0.456 0.604
Li: 0.689 0.049 0.768
O: 0.422 0.911 0.363
Li: 0.024 0.770 0.663
O: 0.312 0.235 0.267
O: 0.788 0.522 0.727
O: 0.207 0.031 0.524
O: 0.253 0.524 0.447
Li: 0.181 0.049 0.786
C: 0.803 0.441 0.621
O: 0.981 0.836 0.857
Ca: 0.347 0.310 0.968
C: 0.993 0.685 0.003
O: 0.905 0.265 0.666
O: 0.477 0.708 0.136
C: 0.493 0.687 0.996
Ca: 0.847 0.277 0.024
O: 0.381 0.273 0.694
O: 0.718 0.539 0.471
Ca: 0.022 0.383 0.368
F: 0.148 0.093 0.008
O: 0.466 0.837 0.846
C: 0.800 0.051 0.395
Mn: 0.526 0.756 0.632
Li: 0.517 0.438 0.322
Li: 0.678 0.840 0.216
Li: 0.183 0.821 0.228
O: 0.774 0.243 0.317
O: 0.966 0.704 0.146
O: 0.886 0.953 0.311
O: 0.290 0.575 0.681
C: 0.314 0.058 0.384
F: 0.642 0.098 0.995
O: 0.538 0.511 0.002
O: 0.739 0.966 0.553

Calculated values
**Space group**: No. 1
**ΔE_f**: -2.454 eV/atom
**E**: -6.90 eV/atom
**Total moment**: 5.00 μB per formula unit

Entry 7:
Material: Mg14CdCoO16
Method: DFT, PBE+U
State: relaxed

a b c (Å): 8.633 8.595 4.306
angles (deg): 90.00 90.00 90.00
Fractional positions:
O: 0.248 0.750 0.500
O: 0.500 0.500 0.500
O: 0.000 0.234 0.000
Mg: 0.747 0.246 0.000
O: 0.752 0.750 0.500
O: 0.248 0.250 0.500
O: 0.742 0.000 0.000
O: 0.735 0.500 0.000
O: 0.500 0.000 0.500
Mg: 0.253 0.754 0.000
Mg: 0.747 0.754 0.000
O: 0.752 0.250 0.500
Mg: 0.250 0.000 0.500
Mg: 0.256 0.500 0.500
O: 0.258 0.000 0.000
Mg: 0.000 0.755 0.500
Mg: 0.500 0.751 0.500
Mg: 0.500 0.000 0.000
O: 0.000 0.766 0.000
Mg: 0.500 0.249 0.500
O: 0.500 0.248 0.000
Mg: 0.500 0.500 0.000
O: 0.000 0.000 0.500
Co: 0.000 0.000 0.000
Mg: 0.750 0.000 0.500
Mg: 0.253 0.246 0.000
Mg: 0.744 0.500 0.500
Cd: 0.000 0.500 0.000
O: 0.500 0.752 0.000
Mg: 0.000 0.245 0.500
O: 0.000 0.500 0.500
O: 0.265 0.500 0.000

Calculated values
**Space group**: No. 47
**ΔE_f**: -2.799 eV/atom
**Energy above the lowest structure with this stoichiometry**: 0 meV per atom
**E**: -5.83 eV/atom
**Total moment**: 3.00 μB per formula unit

Entry 8:
Material: MgFe6O4F8
Method: DFT, PBE+U
State: relaxed

a b c (Å): 8.205 6.044 5.812
angles (deg): 68.80 67.26 65.02
Fractional positions:
O: 0.663 0.679 0.008
O: 0.016 0.261 0.720
Mg: 0.838 0.152 0.672
Fe: 0.339 0.685 0.639
O: 0.341 0.985 0.341
F: 0.330 0.885 0.891
F: 0.027 0.800 0.742
F: 0.331 0.361 0.955
F: 0.940 0.205 0.290
Fe: 0.184 0.327 0.377
F: 0.652 0.054 0.616
O: 0.016 0.658 0.308
F: 0.645 0.504 0.581
F: 0.366 0.431 0.430
Fe: 0.039 0.963 0.040
Fe: 0.845 0.645 0.665
Fe: 0.487 0.994 0.000
Fe: 0.653 0.371 0.264
F: 0.690 0.122 0.045

Calculated values
**Space group**: No. 1
**ΔE_f**: -2.214 eV/atom
**Energy above the lowest structure with this stoichiometry**: 16 meV per atom
**E**: -5.77 eV/atom
**Total moment**: 24.01 μB per formula unit